Compound: Li2Fe2Mo3O12
Source: the Materials Project
Functional: PBE+U
Structure: optimized geometry

Geometry as POSCAR:
```
Li2Fe2Mo3O12
1.0
13.210 0.000 0.000
0.000 9.669 0.000
0.000 0.000 9.481
Li Fe Mo O
8 8 12 48
direct
0.190 0.223 0.234
0.190 0.777 0.734
0.310 0.277 0.734
0.310 0.723 0.234
0.690 0.277 0.766
0.690 0.723 0.266
0.810 0.223 0.266
0.810 0.777 0.766
0.122 0.254 0.535
0.122 0.746 0.035
0.378 0.246 0.035
0.378 0.754 0.535
0.622 0.246 0.465
0.622 0.754 0.965
0.878 0.254 0.965
0.878 0.746 0.465
0.000 0.463 0.250
0.000 0.537 0.750
0.143 0.097 0.898
0.143 0.903 0.398
0.357 0.403 0.398
0.357 0.597 0.898
0.500 0.037 0.750
0.500 0.963 0.250
0.643 0.403 0.102
0.643 0.597 0.602
0.857 0.097 0.602
0.857 0.903 0.102
0.015 0.141 0.932
0.015 0.859 0.432
0.064 0.431 0.625
0.064 0.569 0.125
0.093 0.352 0.333
0.093 0.648 0.833
0.162 0.089 0.393
0.162 0.911 0.893
0.180 0.171 0.731
0.180 0.829 0.231
0.220 0.171 0.036
0.220 0.829 0.536
0.280 0.329 0.536
0.280 0.671 0.036
0.320 0.329 0.231
0.320 0.671 0.731
0.338 0.411 0.893
0.338 0.589 0.393
0.407 0.148 0.833
0.407 0.852 0.333
0.436 0.069 0.125
0.436 0.931 0.625
0.485 0.359 0.432
0.485 0.641 0.932
0.515 0.359 0.068
0.515 0.641 0.568
0.564 0.069 0.375
0.564 0.931 0.875
0.593 0.148 0.667
0.593 0.852 0.167
0.662 0.411 0.607
0.662 0.589 0.107
0.680 0.329 0.269
0.680 0.671 0.769
0.720 0.329 0.964
0.720 0.671 0.464
0.780 0.171 0.464
0.780 0.829 0.964
0.820 0.171 0.769
0.820 0.829 0.269
0.838 0.089 0.107
0.838 0.911 0.607
0.907 0.352 0.167
0.907 0.648 0.667
0.936 0.431 0.875
0.936 0.569 0.375
0.985 0.141 0.568
0.985 0.859 0.068
```

Values from the calculation:
total magnetic moment = 8.0 μB per formula unit
formation energy from the elements = -2027 meV per atom
relative energy among the computed polymorphs = 0 meV per atom